No. 1
Entry from Materials Project: Sm3Al2Ni6 after structural relaxation (PBE).

Summary:
Formation energy from the elements ... -0.50 eV per atom
Mass density ... 7.8 g/cm3

Lattice parameters (Å, degrees): 7.803 7.803 7.803 109.47 109.47 109.47
Sites, in units of the cell vectors:
Sm  0.000  0.292  0.292
Sm  0.000  0.708  0.708
Sm  0.292  0.000  0.292
Sm  0.292  0.292  0.000
Sm  0.708  0.000  0.708
Sm  0.708  0.708  0.000
Al  0.000  0.000  0.500
Al  0.000  0.500  0.000
Al  0.500  0.000  0.000
Al  0.500  0.500  0.500
Ni  0.000  0.334  0.666
Ni  0.000  0.666  0.334
Ni  0.332  0.666  0.666
Ni  0.334  0.000  0.666
Ni  0.334  0.334  0.668
Ni  0.334  0.666  0.000
Ni  0.334  0.668  0.334
Ni  0.666  0.000  0.334
Ni  0.666  0.332  0.666
Ni  0.666  0.334  0.000
Ni  0.666  0.666  0.332
Ni  0.668  0.334  0.334


No. 2
Entry from Materials Project: Ce2AlGe6 after structural relaxation (PBE).

Summary:
Formation energy from the elements ... -0.44 eV per atom
Mass density ... 6.5 g/cm3
Total magnetic moment ... 1.4 μB/f.u.

Lattice parameters (Å, degrees): 6.036 6.036 10.675 98.08 98.08 91.33
Sites, in units of the cell vectors:
Ce  0.164  0.666  0.664
Ce  0.334  0.836  0.336
Ce  0.666  0.164  0.664
Ce  0.836  0.334  0.336
Al  0.200  0.200  0.801
Al  0.800  0.800  0.199
Ge  0.065  0.494  0.116
Ge  0.067  0.067  0.116
Ge  0.147  0.147  0.562
Ge  0.361  0.361  0.416
Ge  0.492  0.492  0.116
Ge  0.494  0.065  0.116
Ge  0.506  0.935  0.884
Ge  0.508  0.508  0.884
Ge  0.639  0.639  0.584
Ge  0.853  0.853  0.438
Ge  0.933  0.933  0.884
Ge  0.935  0.506  0.884


No. 3
Entry from Materials Project: GaHO2 after structural relaxation (PBE).

Summary:
Formation energy from the elements ... -1.88 eV per atom
Mass density ... 5.2 g/cm3
Maximum piezoelectric response ... 2.3 C/m2

Lattice parameters (Å, degrees): 3.004 4.391 4.988 90.00 90.00 90.00
Sites, in units of the cell vectors:
Ga  0.000  0.222  0.000
Ga  0.500  0.778  0.500
H  0.000  0.309  0.517
H  0.500  0.691  0.017
O  0.000  0.009  0.349
O  0.000  0.498  0.639
O  0.500  0.502  0.139
O  0.500  0.991  0.849


No. 4
Entry from Materials Project: SbH12C5N3Cl4 after structural relaxation (PBE).

Summary:
Formation energy from the elements ... -0.33 eV per atom
Mass density ... 1.9 g/cm3
Total magnetic moment ... 0.0 μB/f.u.

Lattice parameters (Å, degrees): 17.467 10.126 15.604 90.00 107.28 90.00
Sites, in units of the cell vectors:
Sb  0.167  0.033  0.265
Sb  0.167  0.467  0.765
Sb  0.331  0.646  0.784
Sb  0.331  0.854  0.284
Sb  0.669  0.146  0.716
Sb  0.669  0.354  0.216
Sb  0.833  0.533  0.235
Sb  0.833  0.967  0.735
H  0.011  0.658  0.109
H  0.011  0.842  0.609
H  0.014  0.204  0.965
H  0.014  0.296  0.465
H  0.026  0.651  0.999
H  0.026  0.849  0.499
H  0.083  0.006  0.613
H  0.083  0.494  0.113
H  0.086  0.540  0.531
H  0.086  0.960  0.031
H  0.101  0.673  0.463
H  0.101  0.827  0.963
H  0.143  0.511  0.314
H  0.143  0.989  0.814
H  0.147  0.685  0.336
H  0.147  0.815  0.836
H  0.165  0.075  0.696
H  0.165  0.425  0.196
H  0.183  0.518  0.107
H  0.183  0.982  0.607
H  0.185  0.602  0.545
H  0.185  0.898  0.045
H  0.237  0.596  0.341
H  0.237  0.904  0.841
H  0.238  0.133  0.503
H  0.238  0.367  0.003
H  0.291  0.162  0.004
H  0.291  0.338  0.504
H  0.294  0.510  0.986
H  0.294  0.990  0.486
H  0.330  0.182  0.207
H  0.330  0.318  0.707
H  0.336  0.097  0.578
H  0.336  0.403  0.078
H  0.344  0.122  0.926
H  0.344  0.378  0.426
H  0.397  0.172  0.038
H  0.397  0.328  0.538
H  0.402  0.186  0.732
H  0.402  0.314  0.232
H  0.435  0.149  0.230
H  0.435  0.351  0.730
H  0.473  0.143  0.907
H  0.473  0.357  0.407
H  0.479  0.717  0.122
H  0.479  0.783  0.622
H  0.481  0.207  0.470
H  0.481  0.293  0.970
H  0.519  0.707  0.030
H  0.519  0.793  0.530
H  0.521  0.217  0.378
H  0.521  0.283  0.878
H  0.527  0.643  0.593
H  0.527  0.857  0.093
H  0.565  0.649  0.270
H  0.565  0.851  0.770
H  0.598  0.686  0.768
H  0.598  0.814  0.268
H  0.603  0.672  0.462
H  0.603  0.828  0.962
H  0.656  0.622  0.574
H  0.656  0.878  0.074
H  0.664  0.597  0.922
H  0.664  0.903  0.422
H  0.670  0.682  0.293
H  0.670  0.818  0.793
H  0.706  0.010  0.514
H  0.706  0.490  0.014
H  0.709  0.662  0.496
H  0.709  0.838  0.996
H  0.762  0.633  0.997
H  0.762  0.867  0.497
H  0.763  0.096  0.159
H  0.763  0.404  0.659
H  0.815  0.102  0.955
H  0.815  0.398  0.455
H  0.817  0.018  0.393
H  0.817  0.482  0.893
H  0.835  0.575  0.804
H  0.835  0.925  0.304
H  0.853  0.185  0.164
H  0.853  0.315  0.664
H  0.857  0.011  0.186
H  0.857  0.489  0.686
H  0.899  0.173  0.037
H  0.899  0.327  0.537
H  0.914  0.040  0.969
H  0.914  0.460  0.469
H  0.917  0.506  0.887
H  0.917  0.994  0.387
H  0.974  0.151  0.501
H  0.974  0.349  0.001
H  0.986  0.704  0.535
H  0.986  0.796  0.035
H  0.989  0.158  0.391
H  0.989  0.342  0.891
C  0.029  0.714  0.058
C  0.029  0.786  0.558
C  0.122  0.629  0.530
C  0.122  0.871  0.030
C  0.146  0.511  0.153
C  0.146  0.989  0.653
C  0.157  0.749  0.676
C  0.157  0.751  0.176
C  0.172  0.604  0.306
C  0.172  0.896  0.806
C  0.298  0.093  0.507
C  0.298  0.407  0.007
C  0.341  0.137  0.372
C  0.341  0.363  0.872
C  0.343  0.187  0.982
C  0.343  0.313  0.482
C  0.390  0.211  0.247
C  0.390  0.289  0.747
C  0.472  0.249  0.403
C  0.472  0.251  0.903
C  0.528  0.749  0.097
C  0.528  0.751  0.597
C  0.610  0.711  0.253
C  0.610  0.789  0.753
C  0.657  0.687  0.518
C  0.657  0.813  0.018
C  0.659  0.637  0.128
C  0.659  0.863  0.628
C  0.702  0.593  0.993
C  0.702  0.907  0.493
C  0.828  0.104  0.194
C  0.828  0.396  0.694
C  0.843  0.249  0.824
C  0.843  0.251  0.324
C  0.854  0.011  0.347
C  0.854  0.489  0.847
C  0.878  0.129  0.970
C  0.878  0.371  0.470
C  0.971  0.214  0.442
C  0.971  0.286  0.942
N  0.108  0.728  0.592
N  0.108  0.772  0.092
N  0.157  0.628  0.210
N  0.157  0.872  0.710
N  0.204  0.651  0.726
N  0.204  0.849  0.226
N  0.294  0.039  0.322
N  0.294  0.461  0.822
N  0.334  0.175  0.453
N  0.334  0.325  0.953
N  0.397  0.200  0.342
N  0.397  0.300  0.842
N  0.603  0.700  0.158
N  0.603  0.800  0.658
N  0.666  0.675  0.047
N  0.666  0.825  0.547
N  0.706  0.539  0.178
N  0.706  0.961  0.678
N  0.796  0.151  0.774
N  0.796  0.349  0.274
N  0.843  0.128  0.290
N  0.843  0.372  0.790
N  0.892  0.228  0.908
N  0.892  0.272  0.408
Cl  0.027  0.006  0.183
Cl  0.027  0.494  0.683
Cl  0.133  0.572  0.889
Cl  0.133  0.928  0.389
Cl  0.145  0.241  0.331
Cl  0.145  0.259  0.831
Cl  0.178  0.161  0.137
Cl  0.178  0.339  0.637
Cl  0.337  0.735  0.930
Cl  0.337  0.765  0.430
Cl  0.344  0.580  0.639
Cl  0.344  0.920  0.139
Cl  0.354  0.631  0.240
Cl  0.354  0.869  0.740
Cl  0.472  0.596  0.847
Cl  0.472  0.904  0.347
Cl  0.528  0.096  0.653
Cl  0.528  0.404  0.153
Cl  0.646  0.131  0.260
Cl  0.646  0.369  0.760
Cl  0.656  0.080  0.861
Cl  0.656  0.420  0.361
Cl  0.663  0.235  0.570
Cl  0.663  0.265  0.070
Cl  0.822  0.661  0.363
Cl  0.822  0.839  0.863
Cl  0.855  0.741  0.169
Cl  0.855  0.759  0.669
Cl  0.867  0.072  0.611
Cl  0.867  0.428  0.111
Cl  0.973  0.506  0.317
Cl  0.973  0.994  0.817


No. 5
Entry from Materials Project: Li3CuF6 after structural relaxation (PBE).

Summary:
Formation energy from the elements ... -2.56 eV per atom
Mass density ... 3.2 g/cm3
Total magnetic moment ... 2.0 μB/f.u.

Lattice parameters (Å, degrees): 7.428 7.428 7.428 90.00 90.00 90.00
Sites, in units of the cell vectors:
Li  0.000  0.000  0.000
Li  0.000  0.500  0.500
Li  0.250  0.250  0.250
Li  0.250  0.250  0.750
Li  0.250  0.750  0.250
Li  0.250  0.750  0.750
Li  0.500  0.000  0.500
Li  0.500  0.500  0.000
Li  0.750  0.250  0.250
Li  0.750  0.250  0.750
Li  0.750  0.750  0.250
Li  0.750  0.750  0.750
Cu  0.000  0.000  0.500
Cu  0.000  0.500  0.000
Cu  0.500  0.000  0.000
Cu  0.500  0.500  0.500
F  0.054  0.571  0.757
F  0.054  0.929  0.743
F  0.071  0.243  0.554
F  0.071  0.257  0.946
F  0.243  0.554  0.071
F  0.243  0.946  0.429
F  0.257  0.554  0.429
F  0.257  0.946  0.071
F  0.429  0.243  0.946
F  0.429  0.257  0.554
F  0.446  0.571  0.743
F  0.446  0.929  0.757
F  0.554  0.071  0.243
F  0.554  0.429  0.257
F  0.571  0.743  0.446
F  0.571  0.757  0.054
F  0.743  0.054  0.929
F  0.743  0.446  0.571
F  0.757  0.054  0.571
F  0.757  0.446  0.929
F  0.929  0.743  0.054
F  0.929  0.757  0.446
F  0.946  0.071  0.257
F  0.946  0.429  0.243